[1]
OsF5 | r²SCAN | relaxed

ΔE_f ... -1834 meV/atom

a b c (Å): 5.418 9.879 12.377
angles (deg): 90.00 99.23 90.00
Positions (direct):
Os  0.004  0.243  0.498
Os  0.004  0.257  0.998
Os  0.310  0.503  0.703
Os  0.310  0.997  0.203
Os  0.690  0.003  0.797
Os  0.690  0.497  0.297
Os  0.996  0.743  0.002
Os  0.996  0.757  0.502
F  0.020  0.577  0.744
F  0.020  0.923  0.244
F  0.095  0.666  0.138
F  0.095  0.834  0.638
F  0.096  0.159  0.144
F  0.096  0.341  0.644
F  0.196  0.097  0.552
F  0.196  0.403  0.052
F  0.203  0.590  0.554
F  0.203  0.910  0.054
F  0.277  0.169  0.953
F  0.277  0.331  0.453
F  0.277  0.674  0.950
F  0.277  0.826  0.450
F  0.393  0.087  0.335
F  0.393  0.413  0.835
F  0.423  0.577  0.353
F  0.423  0.923  0.853
F  0.493  0.655  0.749
F  0.493  0.845  0.249
F  0.507  0.155  0.751
F  0.507  0.345  0.251
F  0.577  0.077  0.147
F  0.577  0.423  0.647
F  0.607  0.587  0.165
F  0.607  0.913  0.665
F  0.723  0.174  0.550
F  0.723  0.326  0.050
F  0.723  0.669  0.547
F  0.723  0.831  0.047
F  0.797  0.090  0.946
F  0.797  0.410  0.446
F  0.804  0.597  0.948
F  0.804  0.903  0.448
F  0.904  0.659  0.356
F  0.904  0.841  0.856
F  0.905  0.166  0.362
F  0.905  0.334  0.862
F  0.980  0.077  0.756
F  0.980  0.423  0.256

[2]
OsF6 | r²SCAN | relaxed

ΔE_f ... -1781 meV/atom

a b c (Å): 8.465 4.922 9.283
angles (deg): 90.00 90.00 90.00
Positions (direct):
Os  0.000  0.162  0.000
Os  0.000  0.838  0.500
Os  0.500  0.337  0.747
Os  0.500  0.663  0.247
F  0.000  0.148  0.616
F  0.000  0.472  0.885
F  0.000  0.528  0.385
F  0.000  0.852  0.116
F  0.154  0.003  0.886
F  0.154  0.321  0.114
F  0.154  0.679  0.614
F  0.154  0.997  0.386
F  0.346  0.184  0.631
F  0.346  0.490  0.863
F  0.346  0.510  0.363
F  0.346  0.816  0.131
F  0.500  0.034  0.867
F  0.500  0.358  0.128
F  0.500  0.642  0.628
F  0.500  0.966  0.367
F  0.654  0.184  0.631
F  0.654  0.490  0.863
F  0.654  0.510  0.363
F  0.654  0.816  0.131
F  0.846  0.003  0.886
F  0.846  0.321  0.114
F  0.846  0.679  0.614
F  0.846  0.997  0.386

[3]
PF5 | r²SCAN | relaxed

ΔE_f ... -2727 meV/atom

a b c (Å): 5.447 5.447 6.025
angles (deg): 90.00 90.00 120.00
Positions (direct):
P  0.333  0.667  0.250
P  0.667  0.333  0.750
F  0.170  0.341  0.250
F  0.170  0.830  0.250
F  0.333  0.667  0.515
F  0.333  0.667  0.985
F  0.341  0.170  0.750
F  0.659  0.830  0.250
F  0.667  0.333  0.015
F  0.667  0.333  0.485
F  0.830  0.170  0.750
F  0.830  0.659  0.750

[4]
PbF2 | r²SCAN | relaxed

ΔE_f ... -2544 meV/atom

a b c (Å): 5.916 5.916 5.916
angles (deg): 90.00 90.00 90.00
Positions (direct):
Pb  0.000  0.000  0.000
Pb  0.000  0.500  0.500
Pb  0.500  0.000  0.500
Pb  0.500  0.500  0.000
F  0.250  0.250  0.250
F  0.250  0.250  0.750
F  0.250  0.750  0.250
F  0.250  0.750  0.750
F  0.750  0.250  0.250
F  0.750  0.250  0.750
F  0.750  0.750  0.250
F  0.750  0.750  0.750

[5]
PbF2 | r²SCAN | relaxed

ΔE_f ... -2543 meV/atom

a b c (Å): 6.408 3.880 7.664
angles (deg): 90.00 90.00 90.00
Positions (direct):
Pb  0.245  0.250  0.106
Pb  0.255  0.750  0.606
Pb  0.745  0.250  0.394
Pb  0.755  0.750  0.894
F  0.026  0.250  0.847
F  0.141  0.250  0.435
F  0.359  0.750  0.935
F  0.474  0.750  0.347
F  0.526  0.250  0.653
F  0.641  0.250  0.065
F  0.859  0.750  0.565
F  0.974  0.750  0.153

[6]
SbPbF7 | r²SCAN | relaxed

ΔE_f ... -2558 meV/atom

a b c (Å): 4.715 7.383 7.648
angles (deg): 106.45 102.31 90.27
Positions (direct):
Sb  0.147  0.315  0.217
Sb  0.853  0.685  0.783
Pb  0.331  0.148  0.702
Pb  0.669  0.852  0.298
F  0.013  0.551  0.328
F  0.085  0.700  0.023
F  0.153  0.816  0.728
F  0.220  0.934  0.409
F  0.292  0.081  0.104
F  0.382  0.313  0.452
F  0.448  0.445  0.162
F  0.552  0.555  0.838
F  0.618  0.687  0.548
F  0.708  0.919  0.896
F  0.780  0.066  0.591
F  0.847  0.184  0.272
F  0.915  0.300  0.977
F  0.987  0.449  0.672

[7]
TePbF6 | r²SCAN | relaxed

ΔE_f ... -2378 meV/atom

a b c (Å): 4.584 12.777 8.390
angles (deg): 90.00 101.45 90.00
Positions (direct):
Te  0.062  0.225  0.466
Te  0.062  0.275  0.966
Te  0.938  0.725  0.034
Te  0.938  0.775  0.534
Pb  0.352  0.505  0.699
Pb  0.352  0.995  0.199
Pb  0.648  0.005  0.801
Pb  0.648  0.495  0.301
F  0.117  0.672  0.865
F  0.117  0.828  0.365
F  0.195  0.620  0.160
F  0.195  0.880  0.660
F  0.217  0.034  0.916
F  0.217  0.466  0.416
F  0.257  0.189  0.165
F  0.257  0.311  0.665
F  0.303  0.683  0.558
F  0.303  0.817  0.058
F  0.322  0.103  0.536
F  0.322  0.397  0.036
F  0.678  0.603  0.964
F  0.678  0.897  0.464
F  0.697  0.183  0.942
F  0.697  0.317  0.442
F  0.743  0.689  0.335
F  0.743  0.811  0.835
F  0.783  0.534  0.584
F  0.783  0.966  0.084
F  0.805  0.120  0.340
F  0.805  0.380  0.840
F  0.883  0.172  0.635
F  0.883  0.328  0.135